KNaCl2 after structural relaxation. Source: the Materials Project database, functional PBE.

The structure in POSCAR format:
```
KNaCl2
1.0
-5.6569 -3.2961 -3.5113
-3.9450 -6.2230 -0.9514
-6.6161 -3.3208 0.6275
K Na Cl
1 1 2
direct
0.5000 0.5000 0.5000
0.0000 0.0000 0.0000
0.2590 0.2590 0.2590
0.7410 0.7410 0.7410
```

Calculated values
energy	-3.391	eV/atom
symmetry	R-3m

=====

CsMnSe2 after structural relaxation. Source: the Materials Project database, functional PBE.

The structure in POSCAR format:
```
CsMnSe2
1.0
-2.0794 2.0794 7.1960
2.0794 -2.0794 7.1960
2.0794 2.0794 -7.1960
Cs Mn Se
1 1 2
direct
0.0000 0.0000 0.0000
0.2500 0.7500 0.5000
0.3390 0.3390 0.0000
0.6610 0.6610 0.0000
```

Calculated values
energy	-4.938	eV/atom
symmetry	I-4m2